1.
Computed, not measured: a geometry-optimized NaNi3O5 structure at the PBE+U level of DFT.

Cell and atoms, written as POSCAR:
```
NaNi3O5
1.0
8.460 0.000 0.000
0.000 2.911 0.000
0.000 0.000 15.245
Na Ni O
4 12 20
direct
0.045 0.250 0.136 Na
0.455 0.750 0.636 Na
0.545 0.250 0.364 Na
0.955 0.750 0.864 Na
0.099 0.250 0.648 Ni
0.164 0.750 0.486 Ni
0.194 0.250 0.318 Ni
0.306 0.750 0.818 Ni
0.336 0.250 0.986 Ni
0.401 0.750 0.148 Ni
0.599 0.250 0.852 Ni
0.664 0.750 0.014 Ni
0.694 0.250 0.182 Ni
0.806 0.750 0.682 Ni
0.836 0.250 0.514 Ni
0.901 0.750 0.352 Ni
0.022 0.250 0.419 O
0.071 0.750 0.271 O
0.194 0.750 0.707 O
0.200 0.250 0.877 O
0.243 0.750 0.058 O
0.257 0.250 0.558 O
0.300 0.750 0.377 O
0.306 0.250 0.207 O
0.429 0.250 0.771 O
0.478 0.750 0.919 O
0.522 0.250 0.081 O
0.571 0.750 0.229 O
0.694 0.750 0.793 O
0.700 0.250 0.623 O
0.743 0.750 0.442 O
0.757 0.250 0.942 O
0.800 0.750 0.123 O
0.806 0.250 0.293 O
0.929 0.250 0.729 O
0.978 0.750 0.581 O
```

Values from the calculation:
Total DFT energy (no corrections) = -169.265 eV for the cell shown
M_tot = 12.0 Bohr magnetons per cell
Calculated formation energy = -1108 meV/atom

2.
Computed, not measured: a geometry-optimized Li8Fe7O15 structure at the PBE+U level of DFT.

Cell and atoms, written as POSCAR:
```
Li8Fe7O15
1.0
7.680 -2.025 0.000
7.680 2.025 0.000
-1.797 0.000 8.830
Li Fe O
8 7 15
direct
0.093 0.093 0.199 Li
0.098 0.098 0.535 Li
0.099 0.099 0.863 Li
0.300 0.300 0.267 Li
0.700 0.700 0.733 Li
0.901 0.901 0.137 Li
0.902 0.902 0.465 Li
0.907 0.907 0.801 Li
0.300 0.300 0.932 Fe
0.301 0.301 0.602 Fe
0.494 0.494 0.334 Fe
0.500 0.500 0.000 Fe
0.506 0.506 0.666 Fe
0.699 0.699 0.398 Fe
0.700 0.700 0.068 Fe
0.000 0.000 0.000 O
0.004 0.004 0.669 O
0.204 0.204 0.057 O
0.204 0.204 0.413 O
0.215 0.215 0.738 O
0.402 0.402 0.800 O
0.405 0.405 0.127 O
0.406 0.406 0.478 O
0.594 0.594 0.522 O
0.595 0.595 0.873 O
0.598 0.598 0.200 O
0.785 0.785 0.262 O
0.796 0.796 0.587 O
0.796 0.796 0.943 O
0.996 0.996 0.331 O
```

Values from the calculation:
Total DFT energy (no corrections) = -162.115 eV for the cell shown
M_tot = 1.4 Bohr magnetons per cell
Calculated formation energy = -1314 meV/atom

3.
Computed, not measured: a geometry-optimized CuMoO4 structure at the PBE+U level of DFT.

Cell and atoms, written as POSCAR:
```
CuMoO4
1.0
4.810 0.000 0.000
0.378 4.937 0.000
1.073 0.238 5.940
Cu Mo O
2 2 8
direct
0.010 0.254 0.345 Cu
0.990 0.746 0.655 Cu
0.471 0.257 0.829 Mo
0.529 0.743 0.171 Mo
0.226 0.904 0.380 O
0.254 0.434 0.649 O
0.282 0.957 0.914 O
0.289 0.428 0.123 O
0.711 0.572 0.877 O
0.718 0.043 0.086 O
0.746 0.566 0.351 O
0.774 0.096 0.620 O
```

Values from the calculation:
Total DFT energy (no corrections) = -76.304 eV for the cell shown
M_tot = 0.1 Bohr magnetons per cell
Calculated formation energy = -1561 meV/atom

4.
Computed, not measured: a geometry-optimized Nb2CoO6 structure at the PBE+U level of DFT.

Cell and atoms, written as POSCAR:
```
Nb2CoO6
1.0
5.723 0.000 0.000
-0.688 7.843 0.000
-1.804 -2.556 9.619
Nb Co O
8 4 24
direct
0.000 0.000 0.000 Nb
0.156 0.176 0.490 Nb
0.250 0.749 0.250 Nb
0.344 0.324 0.010 Nb
0.500 0.500 0.500 Nb
0.656 0.676 0.990 Nb
0.750 0.251 0.750 Nb
0.844 0.824 0.510 Nb
0.086 0.582 0.752 Co
0.414 0.917 0.748 Co
0.586 0.083 0.252 Co
0.914 0.418 0.248 Co
0.072 0.372 0.850 O
0.074 0.260 0.098 O
0.081 0.785 0.649 O
0.097 0.903 0.403 O
0.235 0.431 0.593 O
0.241 0.942 0.150 O
0.260 0.559 0.351 O
0.264 0.070 0.907 O
0.403 0.597 0.097 O
0.420 0.715 0.852 O
0.426 0.240 0.402 O
0.428 0.128 0.650 O
0.572 0.872 0.350 O
0.574 0.760 0.598 O
0.580 0.285 0.148 O
0.597 0.403 0.903 O
0.736 0.930 0.093 O
0.740 0.441 0.649 O
0.759 0.058 0.850 O
0.765 0.569 0.407 O
0.903 0.097 0.597 O
0.919 0.215 0.351 O
0.926 0.740 0.902 O
0.928 0.628 0.150 O
```

Values from the calculation:
Total DFT energy (no corrections) = -299.449 eV for the cell shown
M_tot = 0.0 Bohr magnetons per cell
Calculated formation energy = -2625 meV/atom

5.
Computed, not measured: a geometry-optimized NaCo3O4 structure at the PBE+U level of DFT.

Cell and atoms, written as POSCAR:
```
NaCo3O4
1.0
6.065 0.000 0.000
0.000 6.065 0.000
0.000 0.000 8.649
Na Co O
4 12 16
direct
0.000 0.244 0.000 Na
0.000 0.756 0.500 Na
0.244 0.000 0.750 Na
0.756 0.000 0.250 Na
0.000 0.261 0.500 Co
0.000 0.739 0.000 Co
0.249 0.500 0.750 Co
0.251 0.500 0.250 Co
0.261 0.000 0.250 Co
0.500 0.249 0.000 Co
0.500 0.251 0.500 Co
0.500 0.749 0.000 Co
0.500 0.751 0.500 Co
0.739 0.000 0.750 Co
0.749 0.500 0.750 Co
0.751 0.500 0.250 Co
0.022 0.275 0.270 O
0.022 0.725 0.230 O
0.271 0.477 0.507 O
0.271 0.523 0.993 O
0.275 0.022 0.480 O
0.275 0.978 0.020 O
0.477 0.271 0.243 O
0.477 0.729 0.257 O
0.523 0.271 0.757 O
0.523 0.729 0.743 O
0.725 0.022 0.520 O
0.725 0.978 0.980 O
0.729 0.477 0.493 O
0.729 0.523 0.007 O
0.978 0.275 0.730 O
0.978 0.725 0.770 O
```

Values from the calculation:
Total DFT energy (no corrections) = -170.510 eV for the cell shown
M_tot = 0.6 Bohr magnetons per cell
Calculated formation energy = -981 meV/atom

6.
Computed, not measured: a geometry-optimized LiCoPO4F structure at the PBE+U level of DFT.

Cell and atoms, written as POSCAR:
```
LiCoPO4F
1.0
6.303 0.000 0.000
-0.045 10.710 0.000
-0.055 -0.083 10.943
Li Co P O F
8 8 8 32 8
direct
0.000 0.000 0.000 Li
0.001 0.505 0.326 Li
0.003 0.787 0.690 Li
0.239 0.466 0.583 Li
0.289 0.989 0.253 Li
0.507 0.451 0.826 Li
0.724 0.495 0.089 Li
0.994 0.262 0.647 Li
0.254 0.229 0.412 Co
0.257 0.733 0.415 Co
0.259 0.725 0.919 Co
0.261 0.230 0.919 Co
0.739 0.222 0.411 Co
0.743 0.734 0.416 Co
0.750 0.226 0.916 Co
0.750 0.730 0.916 Co
0.004 0.966 0.489 P
0.009 0.465 0.838 P
0.014 0.765 0.153 P
0.493 0.685 0.677 P
0.499 0.187 0.655 P
0.500 0.989 0.994 P
0.503 0.490 0.339 P
0.988 0.267 0.177 P
0.002 0.106 0.449 O
0.008 0.707 0.284 O
0.010 0.443 0.702 O
0.012 0.605 0.877 O
0.015 0.950 0.624 O
0.027 0.906 0.154 O
0.190 0.216 0.244 O
0.198 0.905 0.419 O
0.210 0.403 0.897 O
0.210 0.709 0.084 O
0.299 0.550 0.399 O
0.300 0.056 0.938 O
0.301 0.743 0.746 O
0.303 0.251 0.590 O
0.471 0.544 0.676 O
0.486 0.049 0.664 O
0.496 0.738 0.544 O
0.496 0.993 0.130 O
0.500 0.494 0.202 O
0.502 0.352 0.389 O
0.504 0.851 0.943 O
0.509 0.250 0.788 O
0.702 0.234 0.586 O
0.704 0.053 0.941 O
0.704 0.730 0.742 O
0.705 0.556 0.393 O
0.795 0.209 0.245 O
0.804 0.900 0.432 O
0.805 0.409 0.900 O
0.813 0.710 0.084 O
0.969 0.408 0.175 O
0.998 0.211 0.043 O
0.002 0.845 0.897 F
0.003 0.194 0.807 F
0.004 0.348 0.436 F
0.010 0.694 0.527 F
0.485 0.109 0.398 F
0.496 0.764 0.306 F
0.511 0.272 0.023 F
0.513 0.605 0.931 F
```

Values from the calculation:
Total DFT energy (no corrections) = -397.080 eV for the cell shown
M_tot = 18.0 Bohr magnetons per cell
Calculated formation energy = -2293 meV/atom

Repeat the fifth record exactly.
Computed, not measured: a geometry-optimized NaCo3O4 structure at the PBE+U level of DFT.

Cell and atoms, written as POSCAR:
```
NaCo3O4
1.0
6.065 0.000 0.000
0.000 6.065 0.000
0.000 0.000 8.649
Na Co O
4 12 16
direct
0.000 0.244 0.000 Na
0.000 0.756 0.500 Na
0.244 0.000 0.750 Na
0.756 0.000 0.250 Na
0.000 0.261 0.500 Co
0.000 0.739 0.000 Co
0.249 0.500 0.750 Co
0.251 0.500 0.250 Co
0.261 0.000 0.250 Co
0.500 0.249 0.000 Co
0.500 0.251 0.500 Co
0.500 0.749 0.000 Co
0.500 0.751 0.500 Co
0.739 0.000 0.750 Co
0.749 0.500 0.750 Co
0.751 0.500 0.250 Co
0.022 0.275 0.270 O
0.022 0.725 0.230 O
0.271 0.477 0.507 O
0.271 0.523 0.993 O
0.275 0.022 0.480 O
0.275 0.978 0.020 O
0.477 0.271 0.243 O
0.477 0.729 0.257 O
0.523 0.271 0.757 O
0.523 0.729 0.743 O
0.725 0.022 0.520 O
0.725 0.978 0.980 O
0.729 0.477 0.493 O
0.729 0.523 0.007 O
0.978 0.275 0.730 O
0.978 0.725 0.770 O
```

Values from the calculation:
Total DFT energy (no corrections) = -170.510 eV for the cell shown
M_tot = 0.6 Bohr magnetons per cell
Calculated formation energy = -981 meV/atom